## GeClF (PBE-GGA)

Data for GeClF after structural relaxation.

POSCAR file:
```
GeClF
1.0
-1.4928 -0.9452 -3.3251
-2.1801 -2.5534 1.7046
-5.1889 5.0307 0.8994
Cl F Ge
2 2 2
direct
0.0000 0.5000 0.3476
0.5000 0.0000 0.6524
0.5000 0.5000 0.0000
0.0000 0.0000 0.0000
0.0000 0.5000 0.8031
0.5000 0.0000 0.1969
```

Computed properties:
DFT formation energy in meV per atom: -1445
Space-group type: P4/nmm

***

## HPb3Cl4OF (PBE-GGA)

Data for HPb3Cl4OF after structural relaxation.

POSCAR file:
```
HPb3Cl4OF
1.0
7.8689 0.0000 0.0000
0.0000 7.3140 0.0000
0.0000 3.4561 16.7802
Cl Pb O H F
16 12 4 4 4
direct
0.8659 0.9231 0.5962
0.3640 0.6508 0.8210
0.1313 0.9177 0.0989
0.6360 0.3492 0.1790
0.8750 0.6438 0.8246
0.8640 0.3492 0.6790
0.1360 0.6508 0.3210
0.3659 0.0769 0.9038
0.8687 0.0823 0.9011
0.6250 0.6438 0.3246
0.1341 0.0769 0.4038
0.3750 0.3562 0.6754
0.1250 0.3562 0.1754
0.6313 0.0823 0.4011
0.6341 0.9231 0.0962
0.3687 0.9177 0.5989
0.1230 0.2808 0.5492
0.8579 0.2523 0.0445
0.6230 0.7192 0.9508
0.8819 0.6581 0.1829
0.6421 0.2523 0.5445
0.3770 0.2808 0.0492
0.6181 0.6581 0.6829
0.1181 0.3419 0.8171
0.1421 0.7477 0.9555
0.3819 0.3419 0.3171
0.8770 0.7192 0.4508
0.3579 0.7477 0.4555
0.3855 0.5987 0.0193
0.8855 0.4013 0.4807
0.1145 0.5987 0.5193
0.6145 0.4013 0.9807
0.6106 0.9870 0.7522
0.3894 0.0130 0.2478
0.1106 0.0130 0.7478
0.8894 0.9870 0.2522
0.3794 0.3857 0.4615
0.6206 0.6143 0.5385
0.1206 0.3857 0.9615
0.8794 0.6143 0.0385
```

Computed properties:
DFT formation energy in meV per atom: -959
Space-group type: P2_1/c

***

## HPb3Cl4OF (PBE-GGA)

Data for HPb3Cl4OF after structural relaxation.

POSCAR file:
```
HPb3Cl4OF
1.0
-7.2733 0.0000 0.0000
-0.0331 -7.8894 0.0000
1.6796 1.9899 8.2855
O Pb Cl H F
2 6 8 2 2
direct
0.3945 0.6349 0.5384
0.6055 0.3651 0.4616
0.2506 0.8399 0.4109
0.3390 0.2145 0.8696
0.2873 0.3601 0.4042
0.7494 0.1601 0.5891
0.7127 0.6399 0.5958
0.6610 0.7855 0.1304
0.3490 0.0199 0.1434
0.6459 0.4603 0.8559
0.6510 0.9801 0.8566
0.0767 0.4190 0.6916
0.9192 0.0764 0.3028
0.9233 0.5810 0.3084
0.3541 0.5397 0.1441
0.0808 0.9236 0.6972
0.0068 0.2466 0.9948
0.9932 0.7534 0.0052
0.3848 0.1381 0.5770
0.6152 0.8619 0.4230
```

Computed properties:
DFT formation energy in meV per atom: -958
Space-group type: P-1

***

## IrCl4F6 (PBE-GGA)

Data for IrCl4F6 after structural relaxation.

POSCAR file:
```
IrCl4F6
1.0
-11.1277 -1.5692 2.0092
1.2150 -2.8577 4.4974
-0.1052 6.3747 4.3957
Ir Cl F
2 8 12
direct
0.5000 0.5000 0.0000
0.0000 0.5000 0.5000
0.8483 0.0374 0.1179
0.3483 0.9626 0.3821
0.6439 0.7607 0.4608
0.3561 0.2393 0.5392
0.6517 0.0374 0.6179
0.1517 0.9626 0.8821
0.1439 0.2393 0.0392
0.8561 0.7607 0.9608
0.0704 0.6310 0.2958
0.5799 0.7973 0.0322
0.1291 0.6104 0.6311
0.9296 0.3690 0.7042
0.5704 0.3690 0.2042
0.6291 0.3896 0.8689
0.4201 0.2027 0.9678
0.3709 0.6104 0.1311
0.8709 0.3896 0.3689
0.4296 0.6310 0.7958
0.9201 0.7973 0.5322
0.0799 0.2027 0.4678
```

Computed properties:
DFT formation energy in meV per atom: -1174
Space-group type: P2_1/c

***

## IrClOF6 (PBE-GGA)

Data for IrClOF6 after structural relaxation.

POSCAR file:
```
IrClOF6
1.0
-14.2262 -13.6624 -0.3259
3.9260 -4.0980 0.4206
0.7039 -1.0302 12.4630
F Cl O Ir
48 8 8 8
direct
0.6889 0.3711 0.2828
0.6062 0.2096 0.0636
0.5373 0.1727 0.8828
0.8748 0.4646 0.2668
0.4627 0.8273 0.1172
0.6950 0.4949 0.9464
0.5306 0.6492 0.3754
0.4082 0.3530 0.8163
0.3050 0.5051 0.0536
0.5918 0.6470 0.1837
0.5594 0.2359 0.3129
0.5626 0.6026 0.9337
0.3938 0.7904 0.9364
0.3708 0.6250 0.5263
0.8938 0.2096 0.5636
0.6593 0.7860 0.3464
0.3316 0.9294 0.1054
0.0306 0.3508 0.1246
0.1292 0.6250 0.0263
0.1684 0.9294 0.6054
0.9406 0.2359 0.8129
0.1252 0.5354 0.7332
0.1062 0.7904 0.4364
0.8407 0.7860 0.8464
0.4694 0.3508 0.6246
0.0594 0.7641 0.1871
0.1593 0.2140 0.1536
0.3748 0.5354 0.2332
0.0626 0.3974 0.5663
0.8708 0.3750 0.9737
0.0918 0.3530 0.3163
0.8111 0.3711 0.7828
0.6252 0.4646 0.7668
0.6684 0.0706 0.8946
0.3111 0.6289 0.7172
0.9694 0.6492 0.8754
0.0373 0.8273 0.6172
0.6292 0.3750 0.4737
0.4374 0.3974 0.0663
0.9374 0.6026 0.4337
0.8316 0.0706 0.3946
0.1950 0.5051 0.5536
0.8050 0.4949 0.4464
0.9082 0.6470 0.6837
0.1889 0.6289 0.2172
0.9627 0.1727 0.3828
0.3407 0.2140 0.6536
0.4406 0.7641 0.6871
0.7783 0.9905 0.1868
0.7202 0.8422 0.5567
0.2202 0.1578 0.9433
0.2217 0.0095 0.8132
0.2783 0.0095 0.3132
0.2798 0.1578 0.4433
0.7217 0.9905 0.6868
0.7798 0.8422 0.0567
0.9202 0.9769 0.1635
0.5798 0.9769 0.6635
0.4202 0.0231 0.3365
0.5774 0.8828 0.5839
0.4226 0.1172 0.4161
0.9226 0.8828 0.0839
0.0774 0.1172 0.9161
0.0798 0.0231 0.8365
0.8848 0.3363 0.4155
0.1096 0.4895 0.1716
0.8904 0.5105 0.8284
0.1152 0.6637 0.5845
0.3848 0.6637 0.0845
0.6096 0.5105 0.3284
0.3904 0.4895 0.6716
0.6152 0.3363 0.9155
```

Computed properties:
DFT formation energy in meV per atom: -1422
Space-group type: P2_1/c

***

## P2IrClF6 (PBE-GGA)

Data for P2IrClF6 after structural relaxation.

POSCAR file:
```
P2IrClF6
1.0
10.4536 0.0000 0.0000
0.0000 10.7388 0.0000
0.0000 8.1389 13.1379
Cl P F Ir
8 16 48 8
direct
0.1350 0.9849 0.1555
0.3650 0.9849 0.6555
0.8650 0.0151 0.8445
0.1287 0.9923 0.3563
0.6350 0.0151 0.3445
0.6287 0.0077 0.1437
0.8713 0.0077 0.6437
0.3713 0.9923 0.8563
0.1411 0.7488 0.9529
0.6026 0.7481 0.9455
0.1388 0.7304 0.7563
0.6411 0.2512 0.5471
0.3974 0.2519 0.0545
0.0985 0.2520 0.7600
0.8589 0.2512 0.0471
0.3589 0.7488 0.4529
0.6388 0.2696 0.7437
0.1026 0.2519 0.5545
0.3612 0.7304 0.2563
0.5985 0.7480 0.7400
0.9015 0.7480 0.2400
0.8974 0.7481 0.4455
0.4015 0.2520 0.2600
0.8612 0.2696 0.2437
0.5167 0.6207 0.7454
0.7270 0.6620 0.7838
0.5118 0.3371 0.5254
0.2778 0.6226 0.5419
0.0272 0.3876 0.4675
0.0038 0.6587 0.7960
0.5038 0.3413 0.7040
0.7356 0.6709 0.9614
0.7222 0.3774 0.4581
0.2644 0.3291 0.0386
0.6307 0.8312 0.6231
0.2872 0.5873 0.2806
0.4833 0.3793 0.2546
0.2730 0.3380 0.2162
0.7644 0.6709 0.4614
0.6187 0.2028 0.8611
0.1106 0.8367 0.0059
0.4962 0.6587 0.2960
0.2128 0.5873 0.7806
0.5272 0.6124 0.0325
0.8813 0.2028 0.3611
0.3693 0.1688 0.3769
0.9962 0.3413 0.2040
0.0118 0.6629 0.9746
0.2270 0.3380 0.7162
0.3718 0.1722 0.9950
0.9833 0.6207 0.2454
0.9882 0.3371 0.0254
0.7778 0.3774 0.9581
0.1282 0.1722 0.4950
0.2222 0.6226 0.0419
0.0167 0.3793 0.7546
0.8894 0.1633 0.9941
0.7128 0.4127 0.7194
0.3813 0.7972 0.1389
0.3894 0.8367 0.5059
0.8693 0.8312 0.1231
0.1307 0.1688 0.8769
0.9728 0.6124 0.5325
0.8718 0.8278 0.5050
0.6282 0.8278 0.0050
0.7872 0.4127 0.2194
0.2356 0.3291 0.5386
0.4882 0.6629 0.4746
0.6106 0.1633 0.4941
0.4728 0.3876 0.9675
0.7730 0.6620 0.2838
0.1187 0.7972 0.6389
0.7724 0.1347 0.1958
0.7276 0.1347 0.6958
0.2724 0.8653 0.3042
0.2276 0.8653 0.8042
0.0110 0.1297 0.7012
0.9890 0.8703 0.2988
0.5110 0.8703 0.7988
0.4890 0.1297 0.2012
```

Computed properties:
DFT formation energy in meV per atom: -2289
Space-group type: P2_1/c

***

## KSbClF3 (PBE-GGA)

Data for KSbClF3 after structural relaxation.

POSCAR file:
```
KSbClF3
1.0
-0.9922 -6.8537 4.0701
1.2612 -4.3017 -6.9361
14.8052 -0.3980 2.9390
Sb F Cl K
8 24 8 8
direct
0.1300 0.0047 0.1755
0.3700 0.9953 0.6755
0.8700 0.9953 0.8245
0.6300 0.0047 0.3245
0.6300 0.4953 0.8245
0.8700 0.5047 0.3245
0.3700 0.5047 0.1755
0.1300 0.4953 0.6755
0.3356 0.5387 0.0461
0.3852 0.0050 0.3490
0.3926 0.2711 0.1458
0.6148 0.9950 0.6510
0.8356 0.5387 0.4539
0.8356 0.9613 0.9539
0.8926 0.2289 0.8542
0.6644 0.4613 0.9539
0.6148 0.5050 0.1510
0.3356 0.9613 0.5461
0.1074 0.7289 0.6458
0.1148 0.5050 0.3490
0.6644 0.0387 0.4539
0.1148 0.9950 0.8490
0.8852 0.0050 0.1510
0.1644 0.0387 0.0461
0.3852 0.4950 0.8490
0.8926 0.2711 0.3542
0.6074 0.7289 0.8542
0.3926 0.2289 0.6458
0.1644 0.4613 0.5461
0.1074 0.7711 0.1458
0.8852 0.4950 0.6510
0.6074 0.7711 0.3542
0.0184 0.1230 0.6506
0.0184 0.3770 0.1506
0.5184 0.3770 0.3494
0.9816 0.8770 0.3494
0.4816 0.6230 0.6506
0.5184 0.1230 0.8494
0.9816 0.6230 0.8494
0.4816 0.8770 0.1506
0.3184 0.6957 0.4426
0.3184 0.8043 0.9426
0.6816 0.1957 0.0574
0.8184 0.8043 0.5574
0.8184 0.6957 0.0574
0.1816 0.3043 0.9426
0.1816 0.1957 0.4426
0.6816 0.3043 0.5574
```

Computed properties:
DFT formation energy in meV per atom: -2473
Space-group type: Pbca

***

## K2TeClF5 (PBE-GGA)

Data for K2TeClF5 after structural relaxation.

POSCAR file:
```
K2TeClF5
1.0
-5.0538 2.1495 -9.2493
-2.2252 -4.1310 0.2558
-13.2796 2.5827 7.8562
F Te Cl K
20 4 4 8
direct
0.2284 0.1243 0.1014
0.3623 0.5656 0.0966
0.9972 0.8660 0.4098
0.4938 0.6146 0.7721
0.8623 0.4344 0.4034
0.2550 0.3740 0.7411
0.0062 0.6146 0.2721
0.4972 0.1340 0.0902
0.5028 0.8660 0.9098
0.2450 0.3740 0.2411
0.7550 0.6260 0.7589
0.0028 0.1340 0.5902
0.9938 0.3854 0.7279
0.2716 0.1243 0.6014
0.7450 0.6260 0.2589
0.1377 0.5656 0.5966
0.7716 0.8757 0.8986
0.7284 0.8757 0.3986
0.6377 0.4344 0.9034
0.5062 0.3854 0.2279
0.8702 0.8222 0.3179
0.6298 0.8222 0.8179
0.1298 0.1778 0.6821
0.3702 0.1778 0.1821
0.3722 0.8289 0.4012
0.8722 0.1711 0.0988
0.6278 0.1711 0.5988
0.1278 0.8289 0.9012
0.6607 0.6850 0.0792
0.8393 0.6850 0.5792
0.4236 0.6524 0.6056
0.1607 0.3150 0.4208
0.5764 0.3476 0.3944
0.9236 0.3476 0.8944
0.3393 0.3150 0.9208
0.0764 0.6524 0.1056
```

Computed properties:
DFT formation energy in meV per atom: -2563
Space-group type: P2_1/c